1.
# FeH4Cl2O2 PBE with a Hubbard U optimized geometry
# - formation energy (meV/atom) = -1170
data_FeH4Cl2O2
_chemical_formula_sum 'Fe2 H8 Cl4 O4'
_cell_length_a 7.562
_cell_length_b 8.569
_cell_length_c 3.721
_cell_angle_alpha 90.00
_cell_angle_beta 101.40
_cell_angle_gamma 90.00
_space_group_name_H-M_alt 'C 1 2/m 1'
_space_group_IT_number 12
loop_
_space_group_symop_operation_xyz
'x,y,z'
'-x,-y,-z'
'-x,y,-z'
'x,-y,z'
'x+1/2,y+1/2,z'
'-x+1/2,-y+1/2,-z'
'-x+1/2,y+1/2,-z'
'x+1/2,-y+1/2,z'
loop_
_atom_site_label
_atom_site_fract_x
_atom_site_fract_y
_atom_site_fract_z
_atom_site_occupancy
Fe1 0.000 0.000 0.000 1
H1 0.088 0.311 0.159 1
Cl1 0.236 0.000 0.579 1
O1 0.000 0.243 0.000 1

---

2.
# Fe2H10Cl6O5 PBE with a Hubbard U optimized geometry
# - formation energy (meV/atom) = -1039
data_Fe2H10Cl6O5
_chemical_formula_sum 'Fe8 H40 Cl24 O20'
_cell_length_a 13.293
_cell_length_b 6.298
_cell_length_c 16.970
_cell_angle_alpha 90.00
_cell_angle_beta 90.00
_cell_angle_gamma 90.00
_space_group_name_H-M_alt 'P c a 21'
_space_group_IT_number 29
loop_
_space_group_symop_operation_xyz
'x,y,z'
'-x,-y,z+1/2'
'-x+1/2,y,z+1/2'
'x+1/2,-y,z'
loop_
_atom_site_label
_atom_site_fract_x
_atom_site_fract_y
_atom_site_fract_z
_atom_site_occupancy
Fe1 0.016 0.037 0.000 1
Fe2 0.245 0.552 0.749 1
H1 0.068 0.744 0.814 1
H2 0.121 0.827 0.184 1
H3 0.129 0.690 0.633 1
H4 0.144 0.915 0.782 1
H5 0.150 0.761 0.362 1
H6 0.188 0.459 0.997 1
H7 0.192 0.004 0.219 1
H8 0.196 0.512 0.590 1
H9 0.198 0.557 0.406 1
H10 0.234 0.277 0.494 1
Cl1 0.012 0.388 0.991 1
Cl2 0.059 0.060 0.612 1
Cl3 0.069 0.087 0.395 1
Cl4 0.120 0.388 0.194 1
Cl5 0.166 0.260 0.801 1
Cl6 0.175 0.926 0.001 1
O1 0.126 0.764 0.779 1
O2 0.171 0.565 0.642 1
O3 0.181 0.850 0.216 1
O4 0.186 0.626 0.355 1
O5 0.239 0.432 0.498 1

---

3.
# FeH4Cl5O PBE with a Hubbard U optimized geometry
# - formation energy (meV/atom) = -162
data_FeH4Cl5O
_chemical_formula_sum 'Fe4 H16 Cl20 O4'
_cell_length_a 18.136
_cell_length_b 8.691
_cell_length_c 6.995
_cell_angle_alpha 90.00
_cell_angle_beta 90.00
_cell_angle_gamma 90.00
_space_group_name_H-M_alt 'P n m a'
_space_group_IT_number 62
loop_
_space_group_symop_operation_xyz
'x,y,z'
'-x,-y,-z'
'-x+1/2,-y,z+1/2'
'x+1/2,y,-z+1/2'
'x+1/2,-y+1/2,-z+1/2'
'-x+1/2,y+1/2,z+1/2'
'-x,y+1/2,-z'
'x,-y+1/2,z'
loop_
_atom_site_label
_atom_site_fract_x
_atom_site_fract_y
_atom_site_fract_z
_atom_site_occupancy
Fe1 0.061 0.250 0.215 1
H1 0.027 0.657 0.071 1
H2 0.143 0.018 0.661 1
Cl1 0.005 0.250 0.489 1
Cl2 0.106 0.014 0.168 1
Cl3 0.238 0.750 0.787 1
Cl4 0.242 0.750 0.503 1
O1 0.003 0.750 0.017 1

---

4.
# FeH8Cl2O4 PBE with a Hubbard U optimized geometry
# - distance to the lowest polymorph of the same formula (meV per atom) = 0
# - formation energy (meV/atom) = -1210
data_FeH8Cl2O4
_chemical_formula_sum 'Fe4 H32 Cl8 O16'
_cell_length_a 7.482
_cell_length_b 8.514
_cell_length_c 11.770
_cell_angle_alpha 111.19
_cell_angle_beta 90.01
_cell_angle_gamma 90.01
_space_group_name_H-M_alt 'P -1'
_space_group_IT_number 2
loop_
_space_group_symop_operation_xyz
'x,y,z'
'-x,-y,-z'
loop_
_atom_site_label
_atom_site_fract_x
_atom_site_fract_y
_atom_site_fract_z
_atom_site_occupancy
Fe1 0.000 0.250 0.250 1
Fe2 0.499 0.250 0.750 1
H1 0.074 0.044 0.697 1
H2 0.074 0.405 0.701 1
H3 0.074 0.544 0.197 1
H4 0.075 0.905 0.201 1
H5 0.203 0.257 0.446 1
H6 0.203 0.757 0.946 1
H7 0.209 0.440 0.445 1
H8 0.209 0.940 0.945 1
H9 0.291 0.439 0.945 1
H10 0.291 0.940 0.445 1
H11 0.297 0.256 0.946 1
H12 0.297 0.757 0.446 1
H13 0.425 0.544 0.697 1
H14 0.426 0.044 0.197 1
H15 0.426 0.404 0.201 1
H16 0.426 0.904 0.701 1
Cl1 0.236 0.172 0.598 1
Cl2 0.236 0.672 0.098 1
Cl3 0.264 0.172 0.098 1
Cl4 0.264 0.672 0.598 1
O1 0.000 0.000 0.252 1
O2 0.000 0.500 0.248 1
O3 0.192 0.322 0.391 1
O4 0.192 0.821 0.891 1
O5 0.308 0.321 0.891 1
O6 0.308 0.821 0.391 1
O7 0.500 0.001 0.248 1
O8 0.500 0.499 0.252 1

---

5.
# RbFeH4Cl3O2 PBE with a Hubbard U optimized geometry
# - formation energy (meV/atom) = -1315
data_RbFeH4Cl3O2
_chemical_formula_sum 'Rb4 Fe4 H16 Cl12 O8'
_cell_length_a 8.989
_cell_length_b 7.040
_cell_length_c 11.437
_cell_angle_alpha 90.00
_cell_angle_beta 90.00
_cell_angle_gamma 90.00
_space_group_name_H-M_alt 'P c c a'
_space_group_IT_number 54
loop_
_space_group_symop_operation_xyz
'x,y,z'
'-x,-y,-z'
'-x+1/2,-y,z'
'x+1/2,y,-z'
'x+1/2,-y,-z+1/2'
'-x+1/2,y,z+1/2'
'-x,y,-z+1/2'
'x,-y,z+1/2'
loop_
_atom_site_label
_atom_site_fract_x
_atom_site_fract_y
_atom_site_fract_z
_atom_site_occupancy
Rb1 0.250 0.000 0.150 1
Fe1 0.000 0.469 0.250 1
H1 0.025 0.304 0.948 1
H2 0.182 0.298 0.885 1
Cl1 0.087 0.208 0.389 1
Cl2 0.250 0.500 0.150 1
O1 0.074 0.318 0.871 1

---

6.
# Rb2FeH2Cl5O PBE with a Hubbard U optimized geometry
# - formation energy (meV/atom) = -1176
data_Rb2FeH2Cl5O
_chemical_formula_sum 'Rb8 Fe4 H8 Cl20 O4'
_cell_length_a 14.054
_cell_length_b 10.019
_cell_length_c 7.208
_cell_angle_alpha 90.00
_cell_angle_beta 90.00
_cell_angle_gamma 90.00
_space_group_name_H-M_alt 'P n m a'
_space_group_IT_number 62
loop_
_space_group_symop_operation_xyz
'x,y,z'
'-x,-y,-z'
'-x+1/2,-y,z+1/2'
'x+1/2,y,-z+1/2'
'x+1/2,-y+1/2,-z+1/2'
'-x+1/2,y+1/2,z+1/2'
'-x,y+1/2,-z'
'x,-y+1/2,z'
loop_
_atom_site_label
_atom_site_fract_x
_atom_site_fract_y
_atom_site_fract_z
_atom_site_occupancy
Rb1 0.143 0.000 0.155 1
Fe1 0.115 0.250 0.691 1
H1 0.035 0.670 0.547 1
Cl1 0.007 0.250 0.953 1
Cl2 0.104 0.009 0.676 1
Cl3 0.221 0.250 0.431 1
Cl4 0.246 0.250 0.898 1
O1 0.005 0.750 0.494 1

---

7.
# Fe2Te4H3ClO12 PBE with a Hubbard U optimized geometry
# - formation energy (meV/atom) = -1455
data_Fe2Te4H3ClO12
_chemical_formula_sum 'Fe2 Te4 H3 Cl1 O12'
_cell_length_a 5.212
_cell_length_b 6.741
_cell_length_c 9.062
_cell_angle_alpha 73.06
_cell_angle_beta 79.13
_cell_angle_gamma 76.88
_space_group_name_H-M_alt 'P -1'
_space_group_IT_number 2
loop_
_space_group_symop_operation_xyz
'x,y,z'
'-x,-y,-z'
loop_
_atom_site_label
_atom_site_fract_x
_atom_site_fract_y
_atom_site_fract_z
_atom_site_occupancy
Fe1 0.224 0.142 0.445 1
Te1 0.169 0.831 0.833 1
Te2 0.377 0.661 0.313 1
H1 0.055 0.534 0.211 1
H2 0.500 0.500 0.000 1
Cl1 0.500 0.000 0.000 1
O1 0.039 0.288 0.261 1
O2 0.090 0.682 0.193 1
O3 0.135 0.864 0.416 1
O4 0.312 0.404 0.463 1
O5 0.391 0.959 0.646 1
O6 0.403 0.566 0.879 1

---

8.
# Fe2Te4HClO12 PBE with a Hubbard U optimized geometry
# - formation energy (meV/atom) = -1363
data_Fe2Te4HClO12
_chemical_formula_sum 'Fe2 Te4 H1 Cl1 O12'
_cell_length_a 5.248
_cell_length_b 6.598
_cell_length_c 9.120
_cell_angle_alpha 75.28
_cell_angle_beta 83.22
_cell_angle_gamma 72.32
_space_group_name_H-M_alt 'P -1'
_space_group_IT_number 2
loop_
_space_group_symop_operation_xyz
'x,y,z'
'-x,-y,-z'
loop_
_atom_site_label
_atom_site_fract_x
_atom_site_fract_y
_atom_site_fract_z
_atom_site_occupancy
Fe1 0.206 0.137 0.434 1
Te1 0.214 0.878 0.829 1
Te2 0.347 0.659 0.306 1
H1 0.500 0.500 0.000 1
Cl1 0.500 0.000 0.000 1
O1 0.049 0.794 0.169 1
O2 0.050 0.217 0.233 1
O3 0.152 0.833 0.451 1
O4 0.264 0.412 0.433 1
O5 0.397 0.990 0.644 1
O6 0.457 0.582 0.867 1

---

9.
# K2FeCl5O PBE with a Hubbard U optimized geometry
# - formation energy (meV/atom) = -1088
data_K2FeCl5O
_chemical_formula_sum 'K8 Fe4 Cl20 O4'
_cell_length_a 13.724
_cell_length_b 9.568
_cell_length_c 7.063
_cell_angle_alpha 90.00
_cell_angle_beta 90.00
_cell_angle_gamma 90.00
_space_group_name_H-M_alt 'P n m a'
_space_group_IT_number 62
loop_
_space_group_symop_operation_xyz
'x,y,z'
'-x,-y,-z'
'-x+1/2,-y,z+1/2'
'x+1/2,y,-z+1/2'
'x+1/2,-y+1/2,-z+1/2'
'-x+1/2,y+1/2,z+1/2'
'-x,y+1/2,-z'
'x,-y+1/2,z'
loop_
_atom_site_label
_atom_site_fract_x
_atom_site_fract_y
_atom_site_fract_z
_atom_site_occupancy
K1 0.136 0.000 0.181 1
Fe1 0.114 0.250 0.699 1
Cl1 0.008 0.250 0.976 1
Cl2 0.100 0.007 0.678 1
Cl3 0.231 0.250 0.440 1
Cl4 0.244 0.250 0.905 1
O1 0.013 0.250 0.542 1